Here is a relaxed structure of NbBi4ClO8 from Materials Project. Energies are from r²SCAN.

Lattice parameters (Å, degrees): 5.5026 5.5583 28.8822 90.00 90.00 90.00
Last column: nearest neighbours and their distance in Å.
Sites, in units of the cell vectors:
Nb (0.0000, 0.0145, 0.2500)  4 O 1.89-2.00
Nb (0.0000, 0.9855, 0.7500)  4 O 1.89-2.00
Nb (0.5000, 0.4855, 0.7500)  4 O 1.89-2.00
Nb (0.5000, 0.5145, 0.2500)  4 O 1.89-2.00
Bi (0.0085, 0.0058, 0.5679)  4 O 2.21-2.30
Bi (0.0085, 0.9942, 0.0679)  4 O 2.21-2.30
Bi (0.0200, 0.4507, 0.3433)  4 O 2.24-2.36
Bi (0.0200, 0.5493, 0.8433)  4 O 2.24-2.36
Bi (0.4800, 0.0493, 0.8433)  4 O 2.24-2.36
Bi (0.4800, 0.9507, 0.3433)  4 O 2.24-2.36
Bi (0.4915, 0.4942, 0.0679)  4 O 2.21-2.30
Bi (0.4915, 0.5058, 0.5679)  4 O 2.21-2.30
Bi (0.5085, 0.4942, 0.4321)  4 O 2.21-2.30
Bi (0.5085, 0.5058, 0.9321)  4 O 2.21-2.30
Bi (0.5200, 0.0493, 0.6567)  4 O 2.24-2.36
Bi (0.5200, 0.9507, 0.1567)  4 O 2.24-2.36
Bi (0.9800, 0.4507, 0.1567)  4 O 2.24-2.36
Bi (0.9800, 0.5493, 0.6567)  4 O 2.24-2.36
Bi (0.9915, 0.0058, 0.9321)  4 O 2.21-2.30
Bi (0.9915, 0.9942, 0.4321)  4 O 2.21-2.30
Cl (0.0000, 0.5000, 0.0000)  8 Bi 3.34-3.43, 8 O 3.58-3.63
Cl (0.0000, 0.5000, 0.5000)  8 Bi 3.34-3.43, 8 O 3.58-3.63
Cl (0.5000, 0.0000, 0.0000)  8 Bi 3.34-3.43, 8 O 3.58-3.63
Cl (0.5000, 0.0000, 0.5000)  8 Bi 3.34-3.43, 8 O 3.58-3.63
O (0.1043, 0.0790, 0.3153)  1 Nb 2.00
O (0.1043, 0.9210, 0.8153)  1 Nb 2.00
O (0.2454, 0.2460, 0.1060)  3 Bi 2.21-2.36
O (0.2454, 0.7540, 0.6060)  3 Bi 2.21-2.36
O (0.2465, 0.3037, 0.2330)  1 Nb 1.89
O (0.2465, 0.6963, 0.7330)  1 Nb 1.89
O (0.2503, 0.2430, 0.8954)  3 Bi 2.21-2.30
O (0.2497, 0.2570, 0.3954)  3 Bi 2.21-2.30
O (0.2497, 0.7430, 0.8954)  3 Bi 2.21-2.30
O (0.2503, 0.7570, 0.3954)  3 Bi 2.21-2.30
O (0.2535, 0.1963, 0.7330)  1 Nb 1.89
O (0.2535, 0.8037, 0.2330)  1 Nb 1.89
O (0.2546, 0.2540, 0.6060)  3 Bi 2.21-2.36
O (0.2546, 0.7460, 0.1060)  3 Bi 2.21-2.36
O (0.3957, 0.4210, 0.8153)  1 Nb 2.00
O (0.3957, 0.5790, 0.3153)  1 Nb 2.00
O (0.6043, 0.4210, 0.6847)  1 Nb 2.00
O (0.6043, 0.5790, 0.1847)  1 Nb 2.00
O (0.7454, 0.2540, 0.8940)  3 Bi 2.21-2.36
O (0.7454, 0.7460, 0.3940)  3 Bi 2.21-2.36
O (0.7465, 0.1963, 0.7670)  1 Nb 1.89
O (0.7465, 0.8037, 0.2670)  1 Nb 1.89
O (0.7497, 0.2430, 0.6046)  3 Bi 2.21-2.30
O (0.7503, 0.2570, 0.1046)  3 Bi 2.21-2.30
O (0.7503, 0.7430, 0.6046)  3 Bi 2.21-2.30
O (0.7497, 0.7570, 0.1046)  3 Bi 2.21-2.30
O (0.7535, 0.3037, 0.2670)  1 Nb 1.89
O (0.7535, 0.6963, 0.7670)  1 Nb 1.89
O (0.7546, 0.2460, 0.3940)  3 Bi 2.21-2.36
O (0.7546, 0.7540, 0.8940)  3 Bi 2.21-2.36
O (0.8957, 0.0790, 0.1847)  1 Nb 2.00
O (0.8957, 0.9210, 0.6847)  1 Nb 2.00

Output
As for the space group: Pbcn, No. 60. The total energy is -24.0883 eV per atom.